25
Lattice="9.0604 0.0637 -0.0001 0.0689 10.4006 2.0095 -0.0001 0.0002 4.0182" Properties=species:S:1:pos:R:3 comment="PBE Ba2MgNb6N2O14, relaxed" delta_e_f_ev_per_atom=-2.738 sg=Cm energy_ev_per_atom=-8.432 energy_corrected_mp2020_ev_per_atom=-8.82 vol_a3_per_cell=379 de_polymorph_mev_per_atom=25 pbc="T T T"
Ba 2.3444 10.1197 1.9989
Ba 6.6984 0.4635 4.0110
Mg 0.6506 5.7984 2.0009
Nb 0.4118 2.7559 2.0017
Nb 2.5771 4.7099 4.0102
Nb 3.9616 2.7608 2.0012
Nb 5.1543 7.6574 4.0099
Nb 6.7008 5.5096 2.0005
Nb 8.4766 7.7746 4.0096
N 6.8206 6.1703 4.0094
N 8.2626 4.3760 2.0008
O 0.6848 9.0551 4.0082
O 0.9039 3.0439 4.0102
O 0.9407 6.0938 4.0099
O 2.2290 4.4887 2.0011
O 2.2666 1.6948 2.0008
O 3.8045 6.0738 4.0101
O 3.8453 2.9022 4.0102
O 3.8950 9.0390 4.0083
O 5.1874 1.3756 2.0022
O 5.3870 7.4616 2.0006
O 5.2590 4.3200 2.0005
O 6.8621 8.9141 4.0102
O 8.4183 7.4188 2.0004
O 8.3296 1.4036 2.0024



25
Lattice="9.2845 -0.5818 0.0762 -0.6340 10.2762 3.0137 0.0403 0.3724 4.0144" Properties=species:S:1:pos:R:3 comment="PBE Ba2MgNb6N2O14, relaxed" delta_e_f_ev_per_atom=-2.748 sg=P1 energy_ev_per_atom=-8.442 energy_corrected_mp2020_ev_per_atom=-8.83 vol_a3_per_cell=371 de_polymorph_mev_per_atom=15 pbc="T T T"
Ba 2.1585 9.4697 6.3180
Ba 6.3498 1.3915 0.8536
Mg 7.7070 9.1543 5.9871
Nb 0.1365 2.9370 2.7301
Nb 2.3458 4.8231 4.5693
Nb 3.5214 2.6452 2.7583
Nb 5.1962 7.5707 4.4304
Nb 6.6819 5.0643 2.5983
Nb 8.6787 6.7638 4.4449
N 6.7777 5.8922 4.5474
N 8.0217 3.6762 2.7231
O 0.1208 9.1259 4.4361
O 0.5789 3.3792 4.7202
O 0.9241 6.3013 4.4286
O 1.9696 4.3565 2.5900
O 1.9110 1.6359 2.8763
O 3.7460 5.9868 4.4612
O 3.6462 3.0365 4.7506
O 3.7728 8.7585 4.3290
O 4.6975 1.1409 2.9225
O 5.3618 7.1321 2.3887
O 5.1851 3.9345 2.6511
O 6.7000 8.7938 4.1803
O 8.2685 6.8072 2.4458
O 8.2674 0.8518 2.9483



25
Lattice="-3.9280 3.6419 7.4838 8.3645 -3.1350 5.9592 2.3895 3.2030 -0.3047" Properties=species:S:1:pos:R:3 comment="PBE Ba2MgNb6N2O14, relaxed" delta_e_f_ev_per_atom=-2.700 sg=P1 energy_ev_per_atom=-8.395 energy_corrected_mp2020_ev_per_atom=-8.78 vol_a3_per_cell=389 de_polymorph_mev_per_atom=62 pbc="T T T"
Ba 7.0984 -2.0720 7.3980
Ba 1.1296 4.8152 6.7205
Mg 4.2455 0.3540 10.6367
Nb 2.9034 0.5291 1.9418
Nb 4.6339 1.9824 4.4334
Nb 1.3133 1.9684 4.6113
Nb 5.4099 1.7627 8.2021
Nb 1.9745 1.8568 8.6075
Nb 3.6662 3.3361 11.0652
N 3.5729 3.1921 8.8217
N 0.4967 2.9966 9.0082
O 8.1943 -0.5835 5.3280
O 4.0735 2.1917 2.2405
O 6.0931 0.8479 3.9417
O 3.1565 0.5625 4.2797
O 1.2283 1.8445 2.6714
O 4.8993 1.9618 6.2968
O 2.8069 3.3574 4.5697
O 6.8667 0.6571 7.9679
O -0.1062 3.0654 4.9795
O 3.9872 0.3562 8.6164
O 1.7133 1.8688 6.6998
O 5.4721 1.9237 10.3981
O 2.6302 1.5834 10.8716
O -1.5283 4.3849 7.6716